LiFeSiO4, relaxed, DFT PBE with a Hubbard U; E above lowest polymorph = 66 meV per atom; formation enthalpy at 0 K = -238.4 kJ/mol of atoms; total magnetization = 0.7142 μB per atom
1.0
5.073 0.000 0.000
0.000 6.067 0.000
0.000 0.000 11.391
O Fe Li Si
16 4 4 4
direct
0.116 0.489 0.298
0.070 0.471 0.819
0.683 0.783 0.410
0.137 0.738 0.104
0.616 0.511 0.702
0.183 0.283 0.090
0.116 0.011 0.798
0.570 0.529 0.181
0.183 0.217 0.590
0.137 0.762 0.604
0.616 0.989 0.202
0.570 0.971 0.681
0.637 0.238 0.396
0.637 0.262 0.896
0.070 0.029 0.319
0.683 0.717 0.910
0.247 0.488 0.674
0.747 0.512 0.326
0.747 0.988 0.826
0.247 0.012 0.174
0.245 0.249 0.919
0.245 0.251 0.419
0.745 0.749 0.581
0.745 0.751 0.081
0.749 0.491 0.834
0.749 0.009 0.334
0.249 0.509 0.166
0.249 0.991 0.666